1.
The following is a DFT calculation (PBE-GGA) of a geometry-optimized B6Pb3O11F2 structure.

Cell: 6.688 8.455 10.150 Å, 90.00 103.37 90.00°
Space group P2_1 (No. 4)
One atom of each set of equivalent atoms:
B1 0.000 0.000 0.049 (multiplicity 2)
B2 0.075 0.062 0.380 (multiplicity 2)
B3 0.083 0.814 0.669 (multiplicity 2)
B4 0.096 0.280 0.128 (multiplicity 2)
B5 0.291 0.564 0.710 (multiplicity 2)
B6 0.318 0.039 0.227 (multiplicity 2)
Pb1 0.070 0.667 0.272 (multiplicity 2)
Pb2 0.462 0.337 0.463 (multiplicity 2)
Pb3 0.466 0.823 0.966 (multiplicity 2)
O1 0.001 0.872 0.778 (multiplicity 2)
O2 0.052 0.657 0.941 (multiplicity 2)
O3 0.065 0.214 0.427 (multiplicity 2)
O4 0.108 0.479 0.671 (multiplicity 2)
O5 0.143 0.400 0.031 (multiplicity 2)
O6 0.188 0.941 0.119 (multiplicity 2)
O7 0.256 0.001 0.359 (multiplicity 2)
O8 0.281 0.728 0.716 (multiplicity 2)
O9 0.295 0.208 0.195 (multiplicity 2)
O10 0.347 0.623 0.422 (multiplicity 2)
O11 0.468 0.482 0.753 (multiplicity 2)
F1 0.134 0.953 0.598 (multiplicity 2)
F2 0.412 0.093 0.902 (multiplicity 2)

## Properties
The value obtained for the energy relative to the elements is -2.55 eV/atom. For the theoretical density, the calculation gives 5.355 g cm⁻³.

***

2.
The following is a DFT calculation (PBE-GGA) of a geometry-optimized LaYZn2 structure.

Cell: 7.364 7.364 7.364 Å, 90.00 90.00 90.00°
Space group Fm-3m (No. 225)
One atom of each set of equivalent atoms:
La1 0.000 0.000 0.000 (multiplicity 4)
Y1 0.000 0.000 0.500 (multiplicity 4)
Zn1 0.250 0.250 0.250 (multiplicity 8)

## Properties
The excess energy over the best structure of this formula in the dataset is 0 meV/atom. The value obtained for the energy relative to the elements is -0.32 eV/atom. For the theoretical density, the calculation gives 5.964 g cm⁻³.

***

3.
The following is a DFT calculation (PBE-GGA) of a geometry-optimized Sr3Nb structure.

Cell: 5.549 5.549 10.365 Å, 90.00 90.00 90.00°
Space group I4/mmm (No. 139)
One atom of each set of equivalent atoms:
Sr1 0.000 0.000 0.000 (multiplicity 2)
Sr2 0.000 0.500 0.250 (multiplicity 4)
Nb1 0.000 0.000 0.500 (multiplicity 2)

## Properties
The excess energy over the best structure of this formula in the dataset is 2 meV/atom. The value obtained for the energy relative to the elements is 0.74 eV/atom. For the theoretical density, the calculation gives 3.702 g cm⁻³.

***

4.
The following is a DFT calculation (PBE-GGA) of a geometry-optimized KAgSe structure.

Cell: 4.566 4.566 7.778 Å, 90.00 90.00 90.00°
Space group P4/nmm (No. 129, origin choice 2)
One atom of each set of equivalent atoms:
K1 0.250 0.250 0.163 (multiplicity 2)
Ag1 0.250 0.750 0.500 (multiplicity 2)
Se1 0.250 0.250 0.715 (multiplicity 2)

## Properties
The value obtained for the energy relative to the elements is -0.82 eV/atom. For the theoretical density, the calculation gives 4.626 g cm⁻³.

***

5.
The following is a DFT calculation (PBE-GGA) of a geometry-optimized Tm3Np structure.

Cell: 4.875 4.875 4.875 Å, 90.00 90.00 90.00°
Space group Pm-3m (No. 221)
One atom of each set of equivalent atoms:
Tm1 0.000 0.000 0.500 (multiplicity 3)
Np1 0.500 0.500 0.500 (multiplicity 1)

## Properties
The excess energy over the best structure of this formula in the dataset is 0 meV/atom. The value obtained for the energy relative to the elements is 0.35 eV/atom. For the theoretical density, the calculation gives 10.658 g cm⁻³.

***

6.
The following is a DFT calculation (PBE-GGA) of a geometry-optimized SrSbSe2F structure.

Cell: 4.124 4.124 14.757 Å, 90.00 90.00 90.00°
Space group P4/nmm (No. 129, origin choice 2)
One atom of each set of equivalent atoms:
Sr1 0.250 0.250 0.098 (multiplicity 2)
Sb1 0.250 0.250 0.637 (multiplicity 2)
Se1 0.250 0.250 0.387 (multiplicity 2)
Se2 0.250 0.250 0.810 (multiplicity 2)
F1 0.250 0.750 0.000 (multiplicity 2)

## Properties
The value obtained for the energy relative to the elements is -1.80 eV/atom. For the theoretical density, the calculation gives 5.112 g cm⁻³.

***

7.
The following is a DFT calculation (PBE-GGA) of a geometry-optimized La5Ru2 structure.

Cell: 16.918 6.722 7.350 Å, 90.00 95.20 90.00°
Space group C2/c (No. 15)
One atom of each set of equivalent atoms:
La1 0.000 0.078 0.250 (multiplicity 4)
La2 0.092 0.388 0.908 (multiplicity 8)
La3 0.215 0.077 0.316 (multiplicity 8)
Ru1 0.111 0.214 0.580 (multiplicity 8)

## Properties
The value obtained for the energy relative to the elements is -0.27 eV/atom. For the theoretical density, the calculation gives 7.155 g cm⁻³.

***

8.
The following is a DFT calculation (PBE-GGA) of a geometry-optimized SrMnN2 structure.

Cell: 5.959 7.573 5.752 Å, 90.00 114.07 90.00°
Space group P2_1/c (No. 14)
One atom of each set of equivalent atoms:
Sr1 0.181 0.074 0.323 (multiplicity 4)
Mn1 0.398 0.634 0.416 (multiplicity 4)
N1 0.263 0.084 0.913 (multiplicity 4)
N2 0.332 0.709 0.106 (multiplicity 4)

## Properties
The value obtained for the energy relative to the elements is -0.86 eV/atom. For the theoretical density, the calculation gives 4.781 g cm⁻³.